! MgTa2Zn2O8 PBE-GGA relaxed; values from VASP
! - symmetry = C2/c
! - MP2020-corrected energy (eV/atom) = -8.03
&SYSTEM
  ibrav = 0, nat = 26, ntyp = 4
/
ATOMIC_SPECIES
Mg 24.30 Mg.upf
Ta 180.95 Ta.upf
Zn 65.41 Zn.upf
O 16.00 O.upf
CELL_PARAMETERS angstrom
9.6500 -2.9751 0.0000
9.6500 2.9751 0.0000
-0.0251 0.0000 5.2590
ATOMIC_POSITIONS crystal
Mg 0.1460 0.8540 0.7500
Mg 0.8540 0.1460 0.2500
Ta 0.2247 0.5457 0.2622
Ta 0.4543 0.7753 0.2378
Ta 0.5457 0.2247 0.7622
Ta 0.7753 0.4543 0.7378
Zn 0.0663 0.3739 0.2390
Zn 0.3739 0.0663 0.7390
Zn 0.6261 0.9337 0.2610
Zn 0.9337 0.6261 0.7610
O 0.0466 0.3384 0.8687
O 0.0665 0.8165 0.4100
O 0.1835 0.9335 0.0900
O 0.2182 0.4220 0.5565
O 0.3158 0.5443 0.9256
O 0.3384 0.0466 0.3687
O 0.4220 0.2182 0.0565
O 0.4557 0.6842 0.5744
O 0.5443 0.3158 0.4256
O 0.5780 0.7818 0.9435
O 0.6616 0.9534 0.6313
O 0.6842 0.4557 0.0744
O 0.7818 0.5780 0.4435
O 0.8165 0.0665 0.9100
O 0.9335 0.1835 0.5900
O 0.9534 0.6616 0.1313